{
  "formula": "Si10BiTe2H73C25",
  "functional": "GGA-PBE",
  "state": "relaxed",
  "lattice": [[9.8620, 0.0000, 0.0000], [0.0000, 32.7346, 0.0000], [-9.5869, 0.0000, 18.6348]],
  "species": ["Si", "Si", "Si", "Si", "Si", "Si", "Si", "Si", "Si", "Si", "Si", "Si", "Si", "Si", "Si", "Si", "Si", "Si", "Si", "Si", "Si", "Si", "Si", "Si", "Si", "Si", "Si", "Si", "Si", "Si", "Si", "Si", "Si", "Si", "Si", "Si", "Si", "Si", "Si", "Si", "Bi", "Bi", "Bi", "Bi", "Te", "Te", "Te", "Te", "Te", "Te", "Te", "Te", "H", "H", "H", "H", "H", "H", "H", "H", "H", "H", "H", "H", "H", "H", "H", "H", "H", "H", "H", "H", "H", "H", "H", "H", "H", "H", "H", "H", "H", "H", "H", "H", "H", "H", "H", "H", "H", "H", "H", "H", "H", "H", "H", "H", "H", "H", "H", "H", "H", "H", "H", "H", "H", "H", "H", "H", "H", "H", "H", "H", "H", "H", "H", "H", "H", "H", "H", "H", "H", "H", "H", "H", "H", "H", "H", "H", "H", "H", "H", "H", "H", "H", "H", "H", "H", "H", "H", "H", "H", "H", "H", "H", "H", "H", "H", "H", "H", "H", "H", "H", "H", "H", "H", "H", "H", "H", "H", "H", "H", "H", "H", "H", "H", "H", "H", "H", "H", "H", "H", "H", "H", "H", "H", "H", "H", "H", "H", "H", "H", "H", "H", "H", "H", "H", "H", "H", "H", "H", "H", "H", "H", "H", "H", "H", "H", "H", "H", "H", "H", "H", "H", "H", "H", "H", "H", "H", "H", "H", "H", "H", "H", "H", "H", "H", "H", "H", "H", "H", "H", "H", "H", "H", "H", "H", "H", "H", "H", "H", "H", "H", "H", "H", "H", "H", "H", "H", "H", "H", "H", "H", "H", "H", "H", "H", "H", "H", "H", "H", "H", "H", "H", "H", "H", "H", "H", "H", "H", "H", "H", "H", "H", "H", "H", "H", "H", "H", "H", "H", "H", "H", "H", "H", "H", "H", "H", "H", "H", "H", "H", "H", "H", "H", "H", "H", "H", "H", "H", "H", "H", "H", "H", "H", "H", "H", "H", "H", "H", "H", "H", "H", "H", "H", "H", "H", "H", "H", "H", "H", "H", "H", "H", "H", "H", "H", "H", "H", "H", "H", "H", "H", "H", "H", "H", "H", "H", "H", "H", "H", "H", "H", "H", "H", "H", "H", "H", "H", "H", "H", "H", "H", "H", "H", "C", "C", "C", "C", "C", "C", "C", "C", "C", "C", "C", "C", "C", "C", "C", "C", "C", "C", "C", "C", "C", "C", "C", "C", "C", "C", "C", "C", "C", "C", "C", "C", "C", "C", "C", "C", "C", "C", "C", "C", "C", "C", "C", "C", "C", "C", "C", "C", "C", "C", "C", "C", "C", "C", "C", "C", "C", "C", "C", "C", "C", "C", "C", "C", "C", "C", "C", "C", "C", "C", "C", "C", "C", "C", "C", "C", "C", "C", "C", "C", "C", "C", "C", "C", "C", "C", "C", "C", "C", "C", "C", "C", "C", "C", "C", "C", "C", "C", "C", "C"],
  "frac_coords": [[0.0149, 0.1040, 0.3755], [0.0149, 0.3960, 0.8755], [0.0197, 0.0163, 0.6693], [0.0197, 0.4837, 0.1693], [0.0304, 0.7190, 0.8088], [0.0304, 0.7810, 0.3088], [0.0392, 0.0512, 0.3022], [0.0392, 0.4488, 0.8022], [0.0527, 0.6132, 0.5208], [0.0527, 0.8868, 0.0208], [0.2795, 0.0506, 0.2994], [0.2795, 0.4494, 0.7994], [0.2896, 0.7365, 0.8864], [0.2896, 0.7635, 0.3864], [0.3625, 0.7261, 0.0111], [0.3625, 0.7739, 0.5111], [0.4067, 0.5907, 0.5575], [0.4067, 0.9093, 0.0575], [0.4601, 0.6999, 0.8534], [0.4601, 0.8001, 0.3534], [0.5399, 0.1999, 0.6466], [0.5399, 0.3001, 0.1466], [0.5933, 0.0907, 0.9425], [0.5933, 0.4093, 0.4425], [0.6375, 0.2261, 0.4889], [0.6375, 0.2739, 0.9889], [0.7104, 0.2365, 0.6136], [0.7104, 0.2635, 0.1136], [0.7205, 0.5506, 0.2006], [0.7205, 0.9494, 0.7006], [0.9473, 0.1132, 0.9792], [0.9473, 0.3868, 0.4792], [0.9608, 0.5512, 0.1978], [0.9608, 0.9488, 0.6978], [0.9696, 0.2190, 0.6912], [0.9696, 0.2810, 0.1912], [0.9803, 0.5163, 0.8307], [0.9803, 0.9837, 0.3307], [0.9851, 0.6040, 0.1245], [0.9851, 0.8960, 0.6245], [0.1229, 0.6351, 0.3819], [0.1229, 0.8649, 0.8819], [0.8771, 0.1351, 0.1181], [0.8771, 0.3649, 0.6181], [0.1842, 0.5585, 0.3265], [0.1842, 0.9415, 0.8265], [0.3521, 0.6890, 0.3689], [0.3521, 0.8110, 0.8689], [0.6479, 0.1890, 0.1311], [0.6479, 0.3110, 0.6311], [0.8158, 0.0585, 0.1735], [0.8158, 0.4415, 0.6735], [0.0008, 0.1650, 0.3011], [0.0008, 0.3350, 0.8011], [0.0017, 0.1017, 0.8767], [0.0017, 0.3983, 0.3767], [0.0078, 0.6739, 0.8993], [0.0078, 0.8261, 0.3993], [0.0130, 0.7393, 0.6904], [0.0130, 0.7607, 0.1904], [0.0206, 0.5390, 0.4902], [0.0206, 0.9610, 0.9902], [0.0349, 0.1860, 0.9841], [0.0349, 0.3140, 0.4841], [0.0624, 0.6450, 0.8428], [0.0624, 0.8550, 0.3428], [0.0640, 0.1785, 0.3923], [0.0640, 0.3215, 0.8923], [0.0645, 0.5562, 0.7531], [0.0645, 0.9438, 0.2531], [0.0651, 0.6868, 0.7087], [0.0651, 0.8132, 0.2087], [0.0679, 0.0845, 0.7287], [0.0679, 0.4155, 0.2287], [0.0931, 0.0690, 0.0865], [0.0933, 0.2120, 0.2141], [0.0933, 0.2880, 0.7141], [0.0931, 0.4310, 0.5865], [0.0977, 0.2358, 0.1382], [0.0977, 0.2642, 0.6382], [0.1002, 0.7210, 0.0018], [0.1002, 0.7790, 0.5018], [0.1064, 0.0617, 0.4872], [0.1064, 0.4383, 0.9872], [0.1076, 0.5664, 0.9300], [0.1076, 0.9336, 0.4300], [0.1269, 0.2021, 0.8199], [0.1269, 0.2979, 0.3199], [0.1292, 0.1149, 0.5080], [0.1292, 0.3851, 0.0080], [0.1304, 0.1633, 0.0708], [0.1304, 0.3367, 0.5708], [0.1309, 0.1607, 0.6891], [0.1309, 0.3393, 0.1891], [0.1331, 0.0446, 0.7938], [0.1331, 0.4554, 0.2938], [0.1498, 0.5157, 0.9641], [0.1498, 0.9843, 0.4641], [0.1532, 0.0611, 0.0195], [0.1532, 0.4389, 0.5195], [0.1571, 0.6351, 0.6486], [0.1571, 0.8649, 0.1486], [0.1727, 0.7284, 0.5242], [0.1727, 0.7716, 0.0242], [0.1807, 0.5814, 0.6433], [0.1807, 0.9186, 0.1433], [0.1836, 0.1501, 0.0035], [0.1836, 0.3499, 0.5035], [0.1939, 0.1554, 0.3658], [0.1939, 0.3446, 0.8658], [0.1944, 0.6335, 0.1051], [0.1944, 0.8665, 0.6051], [0.1987, 0.5040, 0.1200], [0.1987, 0.9960, 0.6200], [0.2047, 0.0103, 0.1870], [0.2047, 0.4897, 0.6870], [0.2256, 0.2481, 0.7267], [0.2256, 0.2519, 0.2267], [0.2301, 0.0473, 0.6513], [0.2301, 0.4527, 0.1513], [0.2327, 0.5810, 0.1293], [0.2327, 0.9190, 0.6293], [0.2349, 0.1038, 0.2054], [0.2349, 0.3962, 0.7054], [0.2399, 0.7327, 0.0909], [0.2399, 0.7673, 0.5909], [0.2464, 0.5372, 0.9182], [0.2464, 0.9628, 0.4182], [0.2573, 0.1923, 0.5910], [0.2573, 0.3077, 0.0910], [0.2598, 0.0892, 0.4849], [0.2598, 0.4108, 0.9849], [0.2622, 0.6185, 0.1963], [0.2622, 0.8815, 0.6963], [0.2642, 0.6541, 0.5254], [0.2642, 0.8459, 0.0254], [0.2715, 0.5228, 0.7628], [0.2715, 0.9772, 0.2628], [0.2861, 0.5283, 0.5787], [0.2861, 0.9717, 0.0787], [0.2995, 0.0063, 0.7139], [0.2995, 0.4937, 0.2139], [0.3053, 0.5244, 0.4983], [0.3053, 0.9756, 0.9983], [0.3067, 0.6357, 0.8072], [0.3067, 0.8643, 0.3072], [0.3085, 0.2419, 0.5740], [0.3085, 0.2581, 0.0740], [0.3165, 0.6505, 0.0036], [0.3165, 0.8495, 0.5036], [0.3179, 0.1261, 0.2926], [0.3181, 0.1991, 0.5238], [0.3181, 0.3009, 0.0238], [0.3179, 0.3739, 0.7926], [0.3251, 0.7106, 0.7201], [0.3251, 0.7894, 0.2201], [0.3507, 0.0765, 0.9435], [0.3507, 0.4235, 0.4435], [0.3689, 0.2483, 0.9389], [0.3689, 0.2517, 0.4389], [0.3896, 0.0904, 0.8155], [0.3896, 0.4096, 0.3155], [0.4036, 0.0061, 0.2455], [0.4036, 0.4939, 0.7455], [0.4049, 0.1282, 0.9703], [0.4049, 0.3718, 0.4703], [0.4217, 0.0170, 0.4198], [0.4217, 0.4830, 0.9198], [0.4319, 0.0968, 0.2639], [0.4319, 0.4032, 0.7639], [0.4343, 0.6060, 0.6812], [0.4343, 0.8940, 0.1812], [0.4349, 0.0713, 0.4271], [0.4355, 0.2484, 0.8729], [0.4355, 0.2516, 0.3729], [0.4349, 0.4287, 0.9271], [0.4361, 0.6311, 0.9003], [0.4361, 0.8689, 0.4003], [0.4493, 0.6654, 0.0921], [0.4493, 0.8346, 0.5921], [0.4523, 0.5440, 0.1047], [0.4523, 0.9560, 0.6047], [0.4585, 0.1407, 0.8435], [0.4585, 0.3593, 0.3435], [0.4648, 0.7492, 0.7630], [0.4648, 0.7508, 0.2630], [0.4668, 0.5169, 0.5833], [0.4668, 0.9831, 0.0833], [0.4788, 0.1991, 0.7491], [0.4788, 0.3009, 0.2491], [0.4912, 0.0876, 0.0326], [0.4912, 0.1617, 0.4762], [0.4912, 0.3383, 0.9762], [0.4912, 0.4124, 0.5326], [0.4937, 0.2090, 0.9391], [0.4937, 0.2910, 0.4391], [0.4964, 0.1269, 0.6650], [0.4964, 0.3731, 0.1650], [0.5036, 0.6269, 0.8350], [0.5036, 0.8731, 0.3350], [0.5063, 0.7090, 0.5609], [0.5063, 0.7910, 0.0609], [0.5088, 0.5876, 0.4674], [0.5088, 0.6617, 0.0238], [0.5088, 0.8383, 0.5238], [0.5088, 0.9124, 0.9674], [0.5212, 0.6991, 0.7509], [0.5212, 0.8009, 0.2509], [0.5332, 0.0169, 0.9167], [0.5332, 0.4831, 0.4167], [0.5352, 0.2492, 0.7370], [0.5352, 0.2508, 0.2370], [0.5415, 0.6407, 0.6565], [0.5415, 0.8593, 0.1565], [0.5477, 0.0440, 0.3953], [0.5477, 0.4560, 0.8953], [0.5507, 0.1654, 0.4079], [0.5507, 0.3346, 0.9079], [0.5639, 0.1311, 0.5997], [0.5639, 0.3689, 0.0997], [0.5651, 0.5713, 0.0729], [0.5645, 0.7484, 0.6271], [0.5645, 0.7516, 0.1271], [0.5651, 0.9287, 0.5729], [0.5657, 0.1060, 0.8188], [0.5657, 0.3940, 0.3188], [0.5681, 0.5968, 0.2361], [0.5681, 0.9032, 0.7361], [0.5783, 0.5170, 0.0802], [0.5783, 0.9830, 0.5802], [0.5951, 0.6282, 0.5297], [0.5951, 0.8718, 0.0297], [0.5964, 0.5061, 0.2545], [0.5964, 0.9939, 0.7545], [0.6104, 0.5904, 0.6845], [0.6104, 0.9096, 0.1845], [0.6311, 0.7483, 0.5611], [0.6311, 0.7517, 0.0611], [0.6493, 0.5765, 0.5565], [0.6493, 0.9235, 0.0565], [0.6749, 0.2106, 0.7799], [0.6749, 0.2894, 0.2799], [0.6821, 0.6261, 0.2074], [0.6819, 0.6991, 0.9762], [0.6819, 0.8009, 0.4762], [0.6821, 0.8739, 0.7074], [0.6835, 0.1505, 0.4964], [0.6835, 0.3495, 0.9964], [0.6915, 0.7419, 0.9260], [0.6915, 0.7581, 0.4260], [0.6933, 0.1357, 0.6928], [0.6933, 0.3643, 0.1928], [0.6947, 0.0244, 0.0017], [0.6947, 0.4756, 0.5017], [0.7005, 0.5063, 0.7861], [0.7005, 0.9937, 0.2861], [0.7139, 0.0283, 0.9213], [0.7139, 0.4717, 0.4213], [0.7285, 0.0228, 0.7372], [0.7285, 0.4772, 0.2372], [0.7358, 0.1541, 0.9746], [0.7358, 0.3459, 0.4746], [0.7378, 0.1185, 0.3037], [0.7378, 0.3815, 0.8037], [0.7402, 0.5892, 0.0151], [0.7402, 0.9108, 0.5151], [0.7427, 0.6923, 0.9090], [0.7427, 0.8077, 0.4090], [0.7536, 0.0372, 0.5818], [0.7536, 0.4628, 0.0818], [0.7601, 0.2327, 0.4091], [0.7601, 0.2673, 0.9091], [0.7651, 0.6038, 0.2946], [0.7651, 0.8962, 0.7946], [0.7673, 0.0810, 0.3707], [0.7673, 0.4190, 0.8707], [0.7699, 0.5473, 0.8487], [0.7699, 0.9527, 0.3487], [0.7744, 0.7481, 0.7733], [0.7744, 0.7519, 0.2733], [0.7953, 0.5103, 0.3130], [0.7953, 0.9897, 0.8130], [0.8013, 0.0040, 0.3800], [0.8013, 0.4960, 0.8800], [0.8056, 0.1335, 0.3949], [0.8056, 0.3665, 0.8949], [0.8061, 0.6554, 0.1342], [0.8061, 0.8446, 0.6342], [0.8164, 0.6501, 0.4965], [0.8164, 0.8499, 0.9965], [0.8193, 0.0814, 0.8567], [0.8193, 0.4186, 0.3567], [0.8273, 0.2284, 0.9758], [0.8273, 0.2716, 0.4758], [0.8429, 0.1351, 0.8514], [0.8429, 0.3649, 0.3514], [0.8468, 0.5611, 0.4805], [0.8468, 0.9389, 0.9805], [0.8502, 0.0157, 0.5359], [0.8502, 0.4843, 0.0359], [0.8669, 0.5446, 0.7062], [0.8669, 0.9554, 0.2062], [0.8691, 0.6607, 0.8109], [0.8691, 0.8393, 0.3109], [0.8696, 0.6633, 0.4292], [0.8696, 0.8367, 0.9292], [0.8708, 0.6149, 0.9920], [0.8708, 0.8851, 0.4920], [0.8731, 0.7021, 0.6801], [0.8731, 0.7979, 0.1801], [0.8924, 0.0664, 0.5700], [0.8924, 0.4336, 0.0700], [0.8936, 0.5617, 0.0128], [0.8936, 0.9383, 0.5128], [0.8998, 0.2210, 0.4982], [0.8998, 0.2790, 0.9982], [0.9023, 0.7358, 0.3618], [0.9023, 0.7642, 0.8618], [0.9069, 0.5690, 0.4135], [0.9067, 0.7120, 0.2859], [0.9067, 0.7880, 0.7859], [0.9069, 0.9310, 0.9135], [0.9321, 0.5845, 0.7713], [0.9321, 0.9155, 0.2713], [0.9349, 0.1868, 0.7913], [0.9349, 0.3132, 0.2913], [0.9355, 0.0562, 0.7469], [0.9355, 0.4438, 0.2469], [0.9360, 0.6785, 0.1077], [0.9360, 0.8215, 0.6077], [0.9376, 0.1450, 0.6572], [0.9376, 0.3550, 0.1572], [0.9651, 0.6860, 0.5159], [0.9651, 0.8140, 0.0159], [0.9794, 0.0390, 0.0098], [0.9794, 0.4610, 0.5098], [0.9870, 0.2393, 0.8096], [0.9870, 0.2607, 0.3096], [0.9922, 0.1739, 0.6007], [0.9922, 0.3261, 0.1007], [0.9983, 0.6017, 0.6233], [0.9983, 0.8983, 0.1233], [0.9992, 0.6650, 0.1989], [0.9992, 0.8350, 0.6989], [0.0070, 0.2110, 0.7870], [0.0070, 0.2890, 0.2870], [0.0115, 0.1699, 0.6562], [0.0115, 0.3301, 0.1562], [0.0409, 0.0538, 0.7416], [0.0409, 0.4462, 0.2416], [0.0529, 0.0662, 0.0284], [0.0529, 0.4338, 0.5284], [0.0748, 0.1555, 0.3565], [0.0748, 0.3445, 0.8565], [0.0853, 0.1575, 0.0130], [0.0853, 0.3425, 0.5130], [0.1034, 0.6072, 0.6185], [0.1034, 0.8928, 0.1185], [0.1087, 0.2412, 0.1920], [0.1087, 0.2588, 0.6920], [0.1362, 0.5354, 0.9191], [0.1362, 0.9646, 0.4191], [0.1396, 0.0911, 0.4731], [0.1396, 0.4089, 0.9731], [0.1885, 0.6095, 0.1407], [0.1885, 0.8905, 0.6407], [0.2029, 0.7391, 0.0336], [0.2029, 0.7609, 0.5336], [0.2047, 0.0162, 0.6630], [0.2047, 0.4838, 0.1630], [0.2278, 0.6225, 0.5068], [0.2278, 0.8775, 0.0068], [0.2900, 0.0068, 0.2432], [0.2900, 0.4932, 0.7432], [0.3183, 0.0991, 0.2616], [0.3183, 0.4009, 0.7616], [0.3367, 0.2092, 0.5770], [0.3367, 0.2908, 0.0770], [0.3615, 0.5348, 0.5543], [0.3615, 0.9652, 0.0543], [0.4139, 0.6706, 0.0347], [0.4139, 0.8294, 0.5347], [0.4222, 0.6430, 0.8487], [0.4222, 0.8570, 0.3487], [0.4354, 0.0450, 0.3945], [0.4354, 0.4550, 0.8945], [0.4399, 0.7164, 0.7632], [0.4399, 0.7836, 0.2632], [0.4476, 0.0966, 0.9763], [0.4476, 0.4034, 0.4763], [0.4674, 0.2418, 0.9296], [0.4674, 0.2582, 0.4296], [0.4935, 0.1086, 0.8459], [0.4935, 0.3914, 0.3459], [0.5065, 0.6086, 0.6541], [0.5065, 0.8914, 0.1541], [0.5326, 0.7418, 0.5704], [0.5326, 0.7582, 0.0704], [0.5524, 0.5966, 0.5237], [0.5524, 0.9034, 0.0237], [0.5601, 0.2164, 0.7368], [0.5601, 0.2836, 0.2368], [0.5646, 0.5450, 0.1055], [0.5646, 0.9550, 0.6055], [0.5778, 0.1430, 0.6513], [0.5778, 0.3570, 0.1513], [0.5861, 0.1706, 0.4653], [0.5861, 0.3294, 0.9653], [0.6385, 0.0348, 0.9457], [0.6385, 0.4652, 0.4457], [0.6633, 0.7092, 0.9230], [0.6633, 0.7908, 0.4230], [0.6817, 0.5991, 0.2384], [0.6817, 0.9009, 0.7384], [0.7100, 0.5068, 0.2568], [0.7100, 0.9932, 0.7568], [0.7722, 0.1225, 0.9932], [0.7722, 0.3775, 0.4932], [0.7953, 0.5162, 0.8370], [0.7953, 0.9838, 0.3370], [0.7971, 0.2391, 0.4664], [0.7971, 0.2609, 0.9664], [0.8115, 0.1095, 0.3593], [0.8115, 0.3905, 0.8593], [0.8604, 0.5911, 0.0269], [0.8604, 0.9089, 0.5269], [0.8638, 0.0354, 0.5809], [0.8638, 0.4646, 0.0809], [0.8913, 0.7412, 0.3080], [0.8913, 0.7588, 0.8080], [0.8966, 0.1072, 0.8815], [0.8966, 0.3928, 0.3815], [0.9147, 0.6575, 0.4870], [0.9147, 0.8425, 0.9870], [0.9252, 0.6555, 0.1435], [0.9252, 0.8445, 0.6435], [0.9471, 0.5662, 0.4716], [0.9471, 0.9338, 0.9716], [0.9591, 0.5538, 0.7584], [0.9591, 0.9462, 0.2584], [0.9885, 0.6699, 0.8438], [0.9885, 0.8301, 0.3438], [0.9930, 0.7110, 0.7130], [0.9930, 0.7890, 0.2130]],
  "total_energy_ev_per_atom": -5.080,
  "ef_kj_per_mol_atoms": -18,
  "total_magnetization_mub_per_fu": 0.00
}